Entry 1:
The following is a PBE-GGA calculation of a geometry-optimized La3SiN4F structure, from the Materials Project.

The structure in extended XYZ format:
```
36
Lattice="-6.4007 1.9396 1.8526 -2.8808 -3.5361 -6.2512 -1.0348 -8.4195 5.2396" Properties=species:S:1:pos:R:3 pbc="T T T"
La -2.6800 -7.0698 0.6872
N -2.3352 -7.6127 4.8484
La -4.1098 -2.2700 -1.3690
La -5.0117 -4.2447 2.3159
N -3.4543 -8.9865 2.4199
F -6.8910 -5.7816 4.0514
N -5.0831 -8.2369 4.6071
La -7.5011 -9.3351 -0.5991
La -7.6364 -2.9463 0.1537
La -6.2065 -7.7461 2.2099
N -3.8583 -6.2592 2.9239
F -5.0795 -8.0998 -0.2616
Si -7.9634 -6.1750 -0.0214
La -5.3047 -5.7714 -1.4750
N -8.5521 -7.4889 0.9931
La -8.9309 -4.5353 -2.6553
N -7.7338 -6.8448 -1.6090
N -2.5826 -3.1713 2.4499
Si -6.6931 -2.1934 -2.8591
N -7.9811 -2.4033 -4.0075
N -6.8620 -1.0296 -1.5790
N -2.8195 -6.8771 -1.9947
N -6.4581 -3.7569 -2.0830
F -3.4253 -4.2345 -3.2105
La -1.3855 -5.4808 3.4963
N -7.4968 -3.1389 2.8357
N -3.7017 -4.5450 0.0214
N -5.2332 -1.7792 -3.7662
Si -3.6232 -7.8226 3.7000
N -6.6146 -5.4711 0.8195
N -1.7643 -2.5272 -0.1522
F -5.2368 -1.9163 1.1026
La -6.6170 0.6083 0.3105
Si -2.3529 -3.8410 0.8623
La -2.8153 -0.6810 1.4401
La -3.6993 -10.6244 0.5304
```

Output
ΔH_f (0 K): -1855 meV per atom
V: 14.9 Å³ per atom
Symmetry: Pnma

Entry 2:
The following is a PBE-GGA calculation of a geometry-optimized NaLaF4 structure, from the Materials Project.

The structure in extended XYZ format:
```
18
Lattice="6.2515 0.0000 0.0000 3.1047 6.6248 0.0000 3.1189 2.1238 6.2805" Properties=species:S:1:pos:R:3 pbc="T T T"
La 3.1273 2.1273 6.2383
F 3.9261 4.4043 0.7662
F 7.7924 3.2637 4.6929
Na 6.1748 3.6408 0.8987
F 4.0898 2.2220 3.9076
La 9.3578 4.4008 3.1419
F 4.8836 1.5562 1.2282
F 2.0545 2.5337 2.0064
F 7.9367 6.1276 4.1148
F 5.5424 4.7044 3.0836
Na 6.2364 4.8956 5.5225
F 7.7180 5.3573 1.4198
F 5.5284 6.6706 0.1739
F 10.0379 6.7065 2.3809
F 5.2184 7.1067 4.7745
La 6.2402 7.0114 2.5037
Na 6.2924 1.5898 4.1517
F 10.1194 4.4191 5.5191
```

Output
ΔH_f (0 K): -3989 meV per atom
V: 14.5 Å³ per atom
Symmetry: P1

The highest ΔH_f (0 K) belongs to which entry? La3SiN4F